(1)
Computed, not measured: a relaxed Mg3Sn2Ge3O12 crystal at the PBE level of DFT.

Summary:
Space-group type = Ia-3d, No. 230
Crystal system = cubic
Energy = -6.085 eV/atom
ΔE_f = -2.194 eV/atom

a = 10.8482 Å, b = 10.8482 Å, c = 10.8482 Å
α = 109.47°, β = 109.47°, γ = 109.47°
With the nearest neighbours (Å) after each atom.
Fractional positions:
Mg 0.3750 0.7500 0.1250  8 O 2.33-2.47
Mg 0.6250 0.2500 0.8750  8 O 2.33-2.47
Mg 0.7500 0.1250 0.3750  8 O 2.33-2.47
Mg 0.6250 0.8750 0.7500  8 O 2.33-2.47
Mg 0.2500 0.3750 0.1250  8 O 2.33-2.47
Mg 0.8750 0.7500 0.6250  8 O 2.33-2.47
Mg 0.3750 0.1250 0.2500  8 O 2.33-2.47
Mg 0.8750 0.6250 0.2500  8 O 2.33-2.47
Mg 0.7500 0.6250 0.8750  8 O 2.33-2.47
Mg 0.1250 0.2500 0.3750  8 O 2.33-2.47
Mg 0.1250 0.3750 0.7500  8 O 2.33-2.47
Mg 0.2500 0.8750 0.6250  8 O 2.33-2.47
Sn 0.5000 0.5000 0.5000  6 O 2.16
Sn 0.0000 0.0000 0.0000  6 O 2.16
Sn 0.5000 0.0000 0.5000  6 O 2.16
Sn 0.5000 0.5000 0.0000  6 O 2.16
Sn 0.0000 0.5000 0.5000  6 O 2.16
Sn 0.5000 0.0000 0.0000  6 O 2.16
Sn 0.0000 0.0000 0.5000  6 O 2.16
Sn 0.0000 0.5000 0.0000  6 O 2.16
O 0.9689 0.7816 0.8666  1 Ge 1.82
O 0.0851 0.7184 0.6873  1 Ge 1.82
O 0.1873 0.4689 0.6022  1 Ge 1.82
O 0.8127 0.7816 0.4149  1 Ge 1.82
O 0.8666 0.9689 0.7816  1 Ge 1.82
O 0.8127 0.5311 0.3978  1 Ge 1.82
O 0.0311 0.2184 0.1334  1 Ge 1.82
O 0.3666 0.2816 0.4689  1 Ge 1.82
O 0.1334 0.6022 0.9149  1 Ge 1.82
O 0.4149 0.1022 0.6334  1 Ge 1.82
O 0.5851 0.1873 0.2184  1 Ge 1.82
O 0.8666 0.3978 0.0851  1 Ge 1.82
O 0.7816 0.4149 0.8127  1 Ge 1.82
O 0.8978 0.3666 0.5851  1 Ge 1.82
O 0.3978 0.8127 0.5311  1 Ge 1.82
O 0.3127 0.9149 0.2816  1 Ge 1.82
O 0.4149 0.8127 0.7816  1 Ge 1.82
O 0.7184 0.5311 0.6334  1 Ge 1.82
O 0.1334 0.0311 0.2184  1 Ge 1.82
O 0.1022 0.6334 0.4149  1 Ge 1.82
O 0.5311 0.3978 0.8127  1 Ge 1.82
O 0.7816 0.8666 0.9689  1 Ge 1.82
O 0.5851 0.8978 0.3666  1 Ge 1.82
O 0.5311 0.6334 0.7184  1 Ge 1.82
O 0.2184 0.1334 0.0311  1 Ge 1.82
O 0.0311 0.3127 0.8978  1 Ge 1.82
O 0.3666 0.5851 0.8978  1 Ge 1.82
O 0.2816 0.4689 0.3666  1 Ge 1.82
O 0.3127 0.8978 0.0311  1 Ge 1.82
O 0.4689 0.6022 0.1873  1 Ge 1.82
O 0.9689 0.6873 0.1022  1 Ge 1.82
O 0.6022 0.1873 0.4689  1 Ge 1.82
O 0.6334 0.4149 0.1022  1 Ge 1.82
O 0.2816 0.3127 0.9149  1 Ge 1.82
O 0.0851 0.8666 0.3978  1 Ge 1.82
O 0.9149 0.2816 0.3127  1 Ge 1.82
O 0.9149 0.1334 0.6022  1 Ge 1.82
O 0.3978 0.0851 0.8666  1 Ge 1.82
O 0.6022 0.9149 0.1334  1 Ge 1.82
O 0.6873 0.0851 0.7184  1 Ge 1.82
O 0.2184 0.5851 0.1873  1 Ge 1.82
O 0.7184 0.6873 0.0851  1 Ge 1.82
O 0.4689 0.3666 0.2816  1 Ge 1.82
O 0.6873 0.1022 0.9689  1 Ge 1.82
O 0.1873 0.2184 0.5851  1 Ge 1.82
O 0.6334 0.7184 0.5311  1 Ge 1.82
O 0.8978 0.0311 0.3127  1 Ge 1.82
O 0.1022 0.9689 0.6873  1 Ge 1.82
Ge 0.7500 0.8750 0.1250  4 O 1.82
Ge 0.8750 0.1250 0.7500  4 O 1.82
Ge 0.6250 0.3750 0.2500  4 O 1.82
Ge 0.2500 0.6250 0.3750  4 O 1.82
Ge 0.3750 0.2500 0.6250  4 O 1.82
Ge 0.8750 0.2500 0.1250  4 O 1.82
Ge 0.7500 0.3750 0.6250  4 O 1.82
Ge 0.3750 0.6250 0.7500  4 O 1.82
Ge 0.1250 0.7500 0.8750  4 O 1.82
Ge 0.1250 0.8750 0.2500  4 O 1.82
Ge 0.6250 0.7500 0.3750  4 O 1.82
Ge 0.2500 0.1250 0.8750  4 O 1.82

(2)
Computed, not measured: a relaxed MgSnGe2O6 crystal at the PBE level of DFT.

Summary:
Space-group type = C2/c, No. 15
Crystal system = monoclinic
Energy above the lowest structure with this stoichiometry = 0.04 eV per formula unit
Energy = -6.194 eV/atom
ΔE_f = -2.152 eV/atom

a = 7.4072 Å, b = 7.4072 Å, c = 5.5794 Å
α = 78.34°, β = 78.34°, γ = 88.32°
With the nearest neighbours (Å) after each atom.
Fractional positions:
O 0.6243 0.7053 0.9684  2 Ge 1.80-1.81
O 0.7195 0.0107 0.1643  1 Ge 1.74
O 0.2947 0.3757 0.5316  2 Ge 1.80-1.81
O 0.0107 0.7195 0.6643  1 Ge 1.74
O 0.3757 0.2947 0.0316  2 Ge 1.80-1.81
O 0.3775 0.8106 0.3946  1 Ge 1.76, 1 Mg 1.97
O 0.7053 0.6243 0.4684  2 Ge 1.80-1.81
O 0.6225 0.1894 0.6054  1 Ge 1.76, 1 Mg 1.97
O 0.8106 0.3775 0.8946  1 Ge 1.76, 1 Mg 1.97
O 0.9893 0.2805 0.3357  1 Ge 1.74
O 0.1894 0.6225 0.1054  1 Ge 1.76, 1 Mg 1.97
O 0.2805 0.9893 0.8357  1 Ge 1.74
Ge 0.7950 0.6106 0.7498  4 O 1.74-1.81
Ge 0.3894 0.2050 0.7502  4 O 1.74-1.81
Ge 0.2050 0.3894 0.2502  4 O 1.74-1.81
Ge 0.6106 0.7950 0.2498  4 O 1.74-1.81
Sn 0.8758 0.1242 0.7500  4 O 2.19-2.36
Sn 0.1242 0.8758 0.2500  4 O 2.19-2.36
Mg 0.2579 0.7421 0.7500  4 O 1.97-2.00
Mg 0.7421 0.2579 0.2500  4 O 1.97-2.00

(3)
Computed, not measured: a relaxed MgSnGe2O6 crystal at the PBE level of DFT.

Summary:
Space-group type = P2_1/c, No. 14
Crystal system = monoclinic
Energy above the lowest structure with this stoichiometry = 0.00 eV per formula unit
Energy = -6.198 eV/atom
ΔE_f = -2.156 eV/atom

a = 10.2118 Å, b = 5.4742 Å, c = 10.5098 Å
α = 76.32°, β = 90.00°, γ = 90.00°
With the nearest neighbours (Å) after each atom.
Fractional positions:
O 0.5404 0.8808 0.3429  1 Ge 1.75
O 0.5805 0.6801 0.6250  1 Ge 1.75
O 0.1932 0.4208 0.9008  2 Ge 1.85
O 0.8836 0.3523 0.8907  1 Ge 1.73
O 0.3068 0.9208 0.9008  2 Ge 1.85
O 0.9615 0.0944 0.1519  1 Ge 1.76
O 0.7894 0.9621 0.4441  2 Ge 1.78-1.80
O 0.7106 0.4621 0.4441  2 Ge 1.78-1.80
O 0.1164 0.6477 0.1093  1 Ge 1.73
O 0.2106 0.0379 0.5559  2 Ge 1.78-1.80
O 0.2894 0.5379 0.5559  2 Ge 1.78-1.80
O 0.6164 0.8523 0.8907  1 Ge 1.73
O 0.3836 0.1477 0.1093  1 Ge 1.73
O 0.9596 0.3808 0.3429  1 Ge 1.75
O 0.6932 0.0792 0.0992  2 Ge 1.85
O 0.4596 0.1192 0.6571  1 Ge 1.75
O 0.0805 0.8199 0.3750  1 Ge 1.75
O 0.0404 0.6192 0.6571  1 Ge 1.75
O 0.8068 0.5792 0.0992  2 Ge 1.85
O 0.5385 0.5944 0.1519  1 Ge 1.76
O 0.0385 0.9056 0.8481  1 Ge 1.76
O 0.4615 0.4056 0.8481  1 Ge 1.76
O 0.4195 0.3199 0.3750  1 Ge 1.75
O 0.9195 0.1801 0.6250  1 Ge 1.75
Mg 0.4742 0.7764 0.7751  4 O 2.00-2.08
Mg 0.0258 0.2764 0.7751  4 O 2.00-2.08
Mg 0.5258 0.2236 0.2249  4 O 2.00-2.08
Mg 0.9742 0.7236 0.2249  4 O 2.00-2.08
Ge 0.3408 0.2228 0.9454  4 O 1.73-1.85
Ge 0.1512 0.7432 0.5314  4 O 1.75-1.80
Ge 0.8488 0.2568 0.4686  4 O 1.75-1.80
Ge 0.6592 0.7772 0.0546  4 O 1.73-1.85
Ge 0.6512 0.7568 0.4686  4 O 1.75-1.80
Ge 0.3488 0.2432 0.5314  4 O 1.75-1.80
Ge 0.8408 0.2772 0.0546  4 O 1.73-1.85
Ge 0.1592 0.7228 0.9454  4 O 1.73-1.85
Sn 0.8753 0.7892 0.7380  3 O 2.19-2.23
Sn 0.1247 0.2108 0.2620  3 O 2.19-2.23
Sn 0.6247 0.2892 0.7380  3 O 2.19-2.23
Sn 0.3753 0.7108 0.2620  3 O 2.19-2.23

(4)
Computed, not measured: a relaxed Y2Mg3Ge3O12 crystal at the PBE level of DFT.

Summary:
Space-group type = I4_1/acd, No. 142
Crystal system = tetragonal
Energy = -7.069 eV/atom
ΔE_f = -2.932 eV/atom

a = 10.6833 Å, b = 10.6833 Å, c = 10.6833 Å
α = 108.94°, β = 108.94°, γ = 110.55°
With the nearest neighbours (Å) after each atom.
Fractional positions:
O 0.5951 0.0610 0.3515  1 Ge 1.79
O 0.0405 0.1890 0.0341  1 Ge 1.79
O 0.2128 0.2759 0.6248  1 Ge 1.79
O 0.1511 0.7759 0.0631  1 Ge 1.79
O 0.9390 0.2905 0.5341  1 Ge 1.79
O 0.5372 0.6620 0.5631  1 Ge 1.79
O 0.0259 0.4628 0.1248  1 Ge 1.79
O 0.5040 0.7749 0.3380  1 Ge 1.76
O 0.4935 0.3451 0.0341  1 Ge 1.79
O 0.8380 0.9628 0.4369  1 Ge 1.79
O 0.7128 0.0880 0.9369  1 Ge 1.79
O 0.3131 0.4751 0.2291  1 Ge 1.76
O 0.5249 0.7540 0.8380  1 Ge 1.76
O 0.4160 0.2540 0.2291  1 Ge 1.76
O 0.8340 0.4960 0.2709  1 Ge 1.76
O 0.0372 0.4741 0.8752  1 Ge 1.79
O 0.9120 0.8489 0.6248  1 Ge 1.79
O 0.0951 0.7435 0.5341  1 Ge 1.79
O 0.2241 0.2872 0.3752  1 Ge 1.79
O 0.6511 0.5880 0.3752  1 Ge 1.79
O 0.2565 0.7905 0.3515  1 Ge 1.79
O 0.7251 0.9960 0.6620  1 Ge 1.76
O 0.5259 0.4011 0.5631  1 Ge 1.79
O 0.6549 0.6890 0.1485  1 Ge 1.79
O 0.9935 0.9595 0.1485  1 Ge 1.79
O 0.9369 0.2749 0.2709  1 Ge 1.76
O 0.5405 0.5065 0.8515  1 Ge 1.79
O 0.1549 0.0065 0.9659  1 Ge 1.79
O 0.0989 0.9741 0.4369  1 Ge 1.79
O 0.7460 0.9751 0.1620  1 Ge 1.76
O 0.2460 0.0840 0.7709  1 Ge 1.76
O 0.2251 0.5631 0.7291  1 Ge 1.76
O 0.4369 0.1660 0.6620  1 Ge 1.76
O 0.3340 0.0631 0.3380  1 Ge 1.76
O 0.3110 0.4595 0.9659  1 Ge 1.79
O 0.0249 0.1869 0.7709  1 Ge 1.76
O 0.8131 0.5840 0.8380  1 Ge 1.76
O 0.8110 0.8451 0.8515  1 Ge 1.79
O 0.4120 0.7872 0.0631  1 Ge 1.79
O 0.5989 0.1620 0.1248  1 Ge 1.79
O 0.7241 0.3489 0.9369  1 Ge 1.79
O 0.4390 0.9049 0.6485  1 Ge 1.79
O 0.7565 0.4049 0.4659  1 Ge 1.79
O 0.9160 0.6869 0.1620  1 Ge 1.76
O 0.7095 0.2435 0.6485  1 Ge 1.79
O 0.0040 0.6660 0.7291  1 Ge 1.76
O 0.2095 0.5610 0.4659  1 Ge 1.79
O 0.3380 0.9011 0.8752  1 Ge 1.79
Y 0.7535 0.6250 0.6285  8 O 2.35-2.45
Y 0.9965 0.1250 0.3715  8 O 2.35-2.45
Y 0.3750 0.5035 0.6285  8 O 2.35-2.45
Y 0.8750 0.7465 0.3715  8 O 2.35-2.45
Y 0.3750 0.0035 0.1285  8 O 2.35-2.45
Y 0.4965 0.1250 0.8715  8 O 2.35-2.45
Y 0.2535 0.6250 0.1285  8 O 2.35-2.45
Y 0.8750 0.2465 0.8715  8 O 2.35-2.45
Mg 0.1250 0.8750 0.7500  6 O 2.04-2.12
Mg 0.7500 0.7500 0.0000  8 O 2.29-2.49
Mg 0.6250 0.3750 0.2500  6 O 2.04-2.12
Mg 0.0000 0.5000 0.5000  8 O 2.29-2.49
Mg 0.5000 0.0000 0.5000  8 O 2.29-2.49
Mg 0.1250 0.8750 0.2500  6 O 2.04-2.12
Mg 0.6250 0.3750 0.7500  6 O 2.04-2.12
Mg 0.1250 0.3750 0.7500  6 O 2.04-2.12
Mg 0.6250 0.8750 0.2500  6 O 2.04-2.12
Mg 0.2500 0.2500 0.0000  8 O 2.29-2.49
Mg 0.6250 0.8750 0.7500  6 O 2.04-2.12
Mg 0.1250 0.3750 0.2500  6 O 2.04-2.12
Ge 0.0000 0.0000 0.0000  4 O 1.79
Ge 0.2495 0.1250 0.6245  4 O 1.76-1.79
Ge 0.7495 0.1250 0.1245  4 O 1.76-1.79
Ge 0.3750 0.7505 0.8755  4 O 1.76-1.79
Ge 0.5005 0.6250 0.3755  4 O 1.76-1.79
Ge 0.8750 0.4995 0.1245  4 O 1.76-1.79
Ge 0.5000 0.5000 0.0000  4 O 1.79
Ge 0.7500 0.2500 0.5000  4 O 1.79
Ge 0.8750 0.9995 0.6245  4 O 1.76-1.79
Ge 0.0005 0.6250 0.8755  4 O 1.76-1.79
Ge 0.2500 0.7500 0.5000  4 O 1.79
Ge 0.3750 0.2505 0.3755  4 O 1.76-1.79